[1]
The following is a DFT calculation (PBE-GGA) of crystalline CeSe2 at its relaxed geometry.

abc: 5.3176 5.3176 5.7725
angles: 90.00 90.00 120.00
Sites, in units of the cell vectors:
Se1 0.3333 0.6667 0.7500
Se2 0.0000 0.0000 0.5000
Se3 0.6667 0.3333 0.2500
Se4 0.0000 0.0000 0.0000
Ce1 0.3333 0.6667 0.2500
Ce2 0.6667 0.3333 0.7500

Properties
Space group ... No. 194
Total DFT energy (no corrections) ... -5.788 eV/atom

=====

[2]
The following is a DFT calculation (PBE-GGA) of crystalline SnPb7N6 at its relaxed geometry.

abc: 12.7541 7.3360 13.1632
angles: 90.00 90.00 90.00
Sites, in units of the cell vectors:
N1 0.8803 0.6493 0.7433
Pb1 0.2205 0.8051 0.6203
Pb2 0.5000 0.0793 0.2500
Pb3 0.7795 0.1949 0.3797
Pb4 0.7394 0.4676 0.1398
Pb5 0.4978 0.7393 0.5233
Pb6 0.5022 0.7393 0.9767
N2 0.6197 0.8507 0.2433
Pb7 0.2394 0.9676 0.3602
Sn1 0.5000 0.3541 0.7500
N3 0.0459 0.0406 0.1100
N4 0.8204 0.2921 0.5412
Pb8 0.2606 0.5324 0.8602
Pb9 0.2795 0.3051 0.6203
N5 0.9541 0.0406 0.3900
Pb10 0.9978 0.2393 0.9767
N6 0.1796 0.2921 0.9588
N7 0.3204 0.2079 0.4588
Pb11 0.7795 0.8051 0.8797
Pb12 0.7205 0.3051 0.8797
Pb13 0.7205 0.6949 0.3797
Pb14 0.9978 0.7607 0.4767
Pb15 0.4978 0.2607 0.0233
N8 0.8204 0.7079 0.0412
N9 0.0459 0.9594 0.6100
Pb16 0.7606 0.9676 0.1398
Pb17 0.5022 0.2607 0.4767
N10 0.3204 0.7921 0.9588
N11 0.4541 0.5406 0.1100
N12 0.1197 0.3507 0.2567
N13 0.9541 0.9594 0.8900
Pb18 0.2606 0.4676 0.3602
Pb19 0.0022 0.7607 0.0233
N14 0.8803 0.3507 0.2433
N15 0.1796 0.7079 0.4588
Pb20 0.0000 0.4207 0.7500
Sn2 0.0000 0.1459 0.2500
Pb21 0.2795 0.6949 0.1203
N16 0.3803 0.1493 0.7567
Pb22 0.0000 0.5793 0.2500
Sn3 0.5000 0.6459 0.2500
N17 0.1197 0.6493 0.7567
N18 0.4541 0.4594 0.6100
N19 0.6197 0.1493 0.7433
Pb23 0.2394 0.0324 0.8602
Pb24 0.2205 0.1949 0.1203
N20 0.3803 0.8507 0.2567
N21 0.5459 0.4594 0.8900
N22 0.6796 0.2079 0.0412
Sn4 0.0000 0.8541 0.7500
Pb25 0.7606 0.0324 0.6398
Pb26 0.5000 0.9207 0.7500
Pb27 0.0022 0.2393 0.5233
N23 0.6796 0.7921 0.5412
N24 0.5459 0.5406 0.3900
Pb28 0.7394 0.5324 0.6398

Properties
Space group ... No. 60
Total DFT energy (no corrections) ... -5.158 eV/atom

=====

[3]
The following is a DFT calculation (PBE-GGA) of crystalline Rb3AuF6 at its relaxed geometry.

abc: 6.7566 6.7566 6.7566
angles: 60.00 60.00 60.00
Sites, in units of the cell vectors:
F1 0.7752 0.2248 0.7752
Rb1 0.2500 0.2500 0.2500
Rb2 0.7500 0.7500 0.7500
F2 0.7752 0.7752 0.2248
F3 0.2248 0.2248 0.7752
Rb3 0.5000 0.5000 0.5000
F4 0.2248 0.7752 0.2248
F5 0.2248 0.7752 0.7752
Au1 0.0000 0.0000 0.0000
F6 0.7752 0.2248 0.2248

Properties
Space group ... No. 225
Total DFT energy (no corrections) ... -3.785 eV/atom

=====

[4]
The following is a DFT calculation (PBE-GGA) of crystalline LiCuPO4 at its relaxed geometry.

abc: 5.8687 5.6241 10.5818
angles: 71.02 90.00 90.00
Sites, in units of the cell vectors:
O1 0.2330 0.6536 0.8070
O2 0.8080 0.8910 0.1908
O3 0.9484 0.7662 0.9654
P1 0.3164 0.8253 0.3922
Li1 0.6624 0.7046 0.0661
Cu1 0.5969 0.2544 0.3580
Li2 0.1624 0.2954 0.4339
Cu2 0.0969 0.7456 0.1420
P2 0.8164 0.1747 0.1078
P3 0.6836 0.1747 0.6078
O4 0.3525 0.7573 0.0137
O5 0.7330 0.3464 0.6930
Cu3 0.4031 0.7456 0.6420
O6 0.2670 0.6536 0.3070
O7 0.5516 0.7662 0.4654
Li3 0.8376 0.7046 0.5661
O8 0.6475 0.2427 0.9863
P4 0.1836 0.8253 0.8922
O9 0.6920 0.8910 0.6908
Cu4 0.9031 0.2544 0.8580
O10 0.4484 0.2338 0.5346
O11 0.1920 0.1090 0.8092
O12 0.7670 0.3464 0.1930
O13 0.3080 0.1090 0.3092
O14 0.1475 0.7573 0.5137
Li4 0.3376 0.2954 0.9339
O15 0.0516 0.2338 0.0346
O16 0.8525 0.2427 0.4863

Properties
Energy above the lowest structure with this stoichiometry ... 0.036 eV per atom
Space group ... No. 14
Total DFT energy (no corrections) ... -6.228 eV/atom

=====

[5]
The following is a DFT calculation (PBE-GGA) of crystalline K2SnF6 at its relaxed geometry.

abc: 6.0992 6.0992 6.0992
angles: 60.00 60.00 60.00
Sites, in units of the cell vectors:
F1 0.7682 0.2318 0.2318
F2 0.2318 0.2318 0.7682
F3 0.2318 0.7682 0.2318
Sn1 0.0000 0.0000 0.0000
F4 0.2318 0.7682 0.7682
F5 0.7682 0.2318 0.7682
K1 0.2500 0.2500 0.2500
K2 0.7500 0.7500 0.7500
F6 0.7682 0.7682 0.2318

Properties
Space group ... No. 225
Total DFT energy (no corrections) ... -4.653 eV/atom

=====

[6]
The following is a DFT calculation (PBE-GGA) of crystalline SiO2 at its relaxed geometry.

abc: 5.0278 5.0278 5.5189
angles: 90.00 90.00 120.00
Sites, in units of the cell vectors:
O1 0.2543 0.8393 0.4627
Si1 0.0000 0.5227 0.3333
O2 0.4150 0.1607 0.8707
Si2 0.5227 0.0000 0.6667
O3 0.7457 0.5850 0.2040
Si3 0.4773 0.4773 0.0000
O4 0.8393 0.2543 0.5373
O5 0.5850 0.7457 0.7960
O6 0.1607 0.4150 0.1293

Properties
Largest piezoelectric modulus ... 0.25 C/m²
Space group ... No. 154
Total DFT energy (no corrections) ... -7.906 eV/atom

=====

[7]
The following is a DFT calculation (PBE-GGA) of crystalline Be3Si at its relaxed geometry.

abc: 4.1876 4.1876 4.1876
angles: 131.93 131.93 70.34
Sites, in units of the cell vectors:
Be1 0.7500 0.2500 0.5000
Si1 0.0000 0.0000 0.0000
Be2 0.5000 0.5000 0.0000
Be3 0.2500 0.7500 0.5000

Properties
Space group ... No. 139
Total DFT energy (no corrections) ... -3.892 eV/atom

=====

[8]
The following is a DFT calculation (PBE-GGA) of crystalline FeNi3 at its relaxed geometry.

abc: 4.0551 4.3625 5.0042
angles: 90.00 90.00 90.00
Sites, in units of the cell vectors:
Ni1 0.5000 0.1666 0.7479
Ni2 0.0000 0.8334 0.2479
Fe1 0.0000 0.3338 0.0000
Ni3 0.0000 0.3301 0.5000
Ni4 0.5000 0.6699 0.0000
Ni5 0.0000 0.8334 0.7521
Fe2 0.5000 0.6662 0.5000
Ni6 0.5000 0.1666 0.2521

Properties
Space group ... No. 59
Total DFT energy (no corrections) ... -6.526 eV/atom

=====

[9]
The following is a DFT calculation (PBE-GGA) of crystalline Zn7Sb8Ru9 at its relaxed geometry.

abc: 8.4937 8.4937 8.4937
angles: 60.00 60.00 60.00
Sites, in units of the cell vectors:
Ru1 0.8765 0.8765 0.3705
Sb1 0.2740 0.7260 0.2740
Sb2 0.7500 0.7500 0.7500
Sb3 0.2740 0.7260 0.7260
Zn1 0.5000 0.5000 0.0000
Zn2 0.5000 0.0000 0.0000
Zn3 0.0000 0.5000 0.5000
Zn4 0.5000 0.0000 0.5000
Zn5 0.0000 0.0000 0.5000
Ru2 0.1235 0.6295 0.1235
Zn6 0.0000 0.0000 0.0000
Sb4 0.7260 0.7260 0.2740
Sb5 0.7260 0.2740 0.2740
Ru3 0.6295 0.1235 0.1235
Ru4 0.3705 0.8765 0.8765
Ru5 0.1235 0.1235 0.1235
Ru6 0.5000 0.5000 0.5000
Sb6 0.2500 0.2500 0.2500
Sb7 0.7260 0.2740 0.7260
Zn7 0.0000 0.5000 0.0000
Ru7 0.8765 0.3705 0.8765
Sb8 0.2740 0.2740 0.7260
Ru8 0.1235 0.1235 0.6295
Ru9 0.8765 0.8765 0.8765

Properties
Space group ... No. 225
Total DFT energy (no corrections) ... -5.418 eV/atom